A geometry-optimized ZnP2O6 structure, computed with PBE.

abc: 6.748 6.748 5.025
angles: 104.01 104.01 84.84
Fractional coordinates of all 18 atoms:
1 Zn 0.124 0.876 0.750
2 Zn 0.876 0.124 0.250
3 P 0.197 0.375 0.756
4 P 0.375 0.197 0.256
5 P 0.625 0.803 0.744
6 P 0.803 0.625 0.244
7 O 0.052 0.199 0.652
8 O 0.113 0.589 0.809
9 O 0.199 0.052 0.152
10 O 0.345 0.356 0.540
11 O 0.356 0.345 0.040
12 O 0.411 0.887 0.691
13 O 0.589 0.113 0.309
14 O 0.644 0.655 0.960
15 O 0.655 0.644 0.460
16 O 0.801 0.948 0.848
17 O 0.887 0.411 0.191
18 O 0.948 0.801 0.348

Values from the calculation:
**V**: 215.3 Å³ per cell
**Electronic total energy**: -6.659 eV/atom
**Symmetry**: C2/c, No. 15
**DFT formation energy**: -2475 meV per atom



A geometry-optimized ZnP2O6 structure, computed with PBE.

abc: 5.484 5.484 16.643
angles: 91.34 91.34 89.80
Fractional coordinates of all 36 atoms:
1 Zn 0.094 0.712 0.281
2 Zn 0.097 0.903 0.500
3 Zn 0.712 0.094 0.781
4 Zn 0.903 0.097 0.000
5 P 0.035 0.603 0.755
6 P 0.290 0.329 0.142
7 P 0.310 0.848 0.890
8 P 0.329 0.290 0.642
9 P 0.572 0.604 0.024
10 P 0.603 0.035 0.255
11 P 0.604 0.572 0.524
12 P 0.848 0.310 0.390
13 O 0.082 0.998 0.903
14 O 0.137 0.423 0.209
15 O 0.174 0.179 0.075
16 O 0.175 0.519 0.676
17 O 0.179 0.174 0.575
18 O 0.262 0.655 0.817
19 O 0.344 0.674 0.966
20 O 0.373 0.681 0.492
21 O 0.402 0.887 0.288
22 O 0.423 0.137 0.709
23 O 0.429 0.561 0.106
24 O 0.519 0.175 0.176
25 O 0.548 0.975 0.876
26 O 0.561 0.429 0.606
27 O 0.655 0.262 0.317
28 O 0.674 0.344 0.466
29 O 0.681 0.373 0.992
30 O 0.734 0.818 0.042
31 O 0.818 0.734 0.542
32 O 0.836 0.909 0.233
33 O 0.887 0.402 0.788
34 O 0.909 0.836 0.733
35 O 0.975 0.548 0.376
36 O 0.998 0.082 0.403

Values from the calculation:
**V**: 500.3 Å³ per cell
**Electronic total energy**: -6.672 eV/atom
**Symmetry**: Cc, No. 9
**DFT formation energy**: -2489 meV per atom



A geometry-optimized Zn4P3O13 structure, computed with PBE.

abc: 5.097 9.593 13.407
angles: 102.11 100.31 102.79
Fractional coordinates of all 40 atoms:
1 Zn 0.000 0.000 0.000
2 Zn 0.022 0.645 0.387
3 Zn 0.096 0.497 0.814
4 Zn 0.189 0.184 0.256
5 Zn 0.260 0.029 0.691
6 Zn 0.282 0.675 0.074
7 Zn 0.588 0.864 0.332
8 Zn 0.688 0.809 0.741
9 P 0.096 0.666 0.631
10 P 0.189 0.014 0.445
11 P 0.393 0.519 0.254
12 P 0.564 0.012 0.144
13 P 0.719 0.665 0.932
14 P 0.891 0.160 0.823
15 O 0.071 0.290 0.795
16 O 0.083 0.115 0.378
17 O 0.099 0.595 0.517
18 O 0.187 0.083 0.559
19 O 0.203 0.573 0.700
20 O 0.216 0.390 0.283
21 O 0.301 0.511 0.136
22 O 0.318 0.825 0.671
23 O 0.348 0.665 0.322
24 O 0.374 0.976 0.034
25 O 0.409 0.623 0.941
26 O 0.477 0.001 0.434
27 O 0.517 0.864 0.182
28 O 0.522 0.135 0.227
29 O 0.582 0.154 0.796
30 O 0.646 0.337 0.035
31 O 0.704 0.527 0.278
32 O 0.763 0.541 0.850
33 O 0.767 0.812 0.892
34 O 0.809 0.687 0.636
35 O 0.875 0.054 0.135
36 O 0.911 0.704 0.042
37 O 0.935 0.248 0.487
38 O 0.936 0.014 0.755
39 O 0.971 0.857 0.399
40 O 0.979 0.167 0.941

Values from the calculation:
**V**: 607.4 Å³ per cell
**Electronic total energy**: -5.905 eV/atom
**Symmetry**: P1, No. 1
**DFT formation energy**: -2071 meV per atom



A geometry-optimized ZnP2O10 structure, computed with PBE.

abc: 5.812 9.319 9.088
angles: 90.00 128.74 90.00
Fractional coordinates of all 26 atoms:
1 Zn 0.000 0.000 0.000
2 Zn 0.000 0.500 0.500
3 P 0.139 0.217 0.337
4 P 0.139 0.283 0.837
5 P 0.861 0.717 0.163
6 P 0.861 0.783 0.663
7 O 0.009 0.668 0.362
8 O 0.009 0.832 0.862
9 O 0.054 0.135 0.853
10 O 0.054 0.365 0.353
11 O 0.296 0.621 0.180
12 O 0.296 0.879 0.680
13 O 0.368 0.132 0.503
14 O 0.368 0.368 0.003
15 O 0.409 0.508 0.269
16 O 0.409 0.992 0.769
17 O 0.591 0.008 0.231
18 O 0.591 0.492 0.731
19 O 0.632 0.632 0.997
20 O 0.632 0.868 0.497
21 O 0.704 0.121 0.320
22 O 0.704 0.379 0.820
23 O 0.946 0.635 0.647
24 O 0.946 0.865 0.147
25 O 0.991 0.168 0.138
26 O 0.991 0.332 0.638

Values from the calculation:
**V**: 383.9 Å³ per cell
**Electronic total energy**: -5.845 eV/atom
**Symmetry**: P2_1/c, No. 14
**DFT formation energy**: -1233 meV per atom